## K3Rh (PBE)

Data for an optimized crystal structure of K3Rh.

Unit cell a=5.8022 b=5.8022 c=6.2784 alpha=90.00 beta=90.00 gamma=120.00
Element x y z (fractional)
K1 0.0000 0.0000 0.5000
K2 0.3333 0.6667 0.8929
K3 0.6667 0.3333 0.1071
Rh1 0.0000 0.0000 0.0000

## Properties
Its total energy is -2.14 eV/atom. The value obtained for the total moment is 0.0 μB/cell. The value obtained for the formation energy is 0.539 eV/atom.

***

## Rb2Te3O12 (PBE)

Data for an optimized crystal structure of Rb2Te3O12.

Unit cell a=7.5845 b=7.5845 c=7.5845 alpha=56.08 beta=56.08 gamma=56.08
Element x y z (fractional)
Rb1 0.3707 0.3707 0.3707
Rb2 0.6293 0.6293 0.6293
Te1 0.5000 0.0000 0.0000
Te2 0.0000 0.0000 0.5000
Te3 0.0000 0.5000 0.0000
O1 0.9325 0.3333 0.3333
O2 0.2996 0.9587 0.9587
O3 0.3333 0.3333 0.9325
O4 0.9587 0.9587 0.2996
O5 0.9587 0.2996 0.9587
O6 0.3333 0.9325 0.3333
O7 0.0675 0.6667 0.6667
O8 0.7004 0.0413 0.0413
O9 0.6667 0.6667 0.0675
O10 0.0413 0.0413 0.7004
O11 0.0413 0.7004 0.0413
O12 0.6667 0.0675 0.6667

## Properties
Its total energy is -4.89 eV/atom. The value obtained for the total moment is 4.0 μB/cell. The value obtained for the formation energy is -1.215 eV/atom.

***

## ErIn2Ni9 (PBE)

Data for an optimized crystal structure of ErIn2Ni9.

Unit cell a=8.2516 b=8.2516 c=4.7857 alpha=90.00 beta=90.00 gamma=90.00
Element x y z (fractional)
Er1 0.5000 0.5000 0.0000
Er2 0.0000 0.0000 0.0000
In1 0.1250 0.6250 0.0000
In2 0.8750 0.3750 0.0000
In3 0.3750 0.1250 0.0000
In4 0.6250 0.8750 0.0000
Ni1 0.0000 0.5000 0.5000
Ni2 0.5000 0.0000 0.5000
Ni3 0.5632 0.7057 0.5000
Ni4 0.4368 0.2943 0.5000
Ni5 0.9368 0.2057 0.5000
Ni6 0.0632 0.7943 0.5000
Ni7 0.7057 0.4368 0.5000
Ni8 0.2943 0.5632 0.5000
Ni9 0.2057 0.0632 0.5000
Ni10 0.7943 0.9368 0.5000
Ni11 0.3234 0.8234 0.7522
Ni12 0.6766 0.1766 0.7522
Ni13 0.1766 0.3234 0.7522
Ni14 0.8234 0.6766 0.7522
Ni15 0.6766 0.1766 0.2478
Ni16 0.3234 0.8234 0.2478
Ni17 0.8234 0.6766 0.2478
Ni18 0.1766 0.3234 0.2478

## Properties
Its total energy is -5.39 eV/atom. The value obtained for the total moment is 0.4 μB/cell. The value obtained for the formation energy is -0.217 eV/atom.

***

## CeMgTi2O6 (PBE)

Data for an optimized crystal structure of CeMgTi2O6.

Unit cell a=3.6940 b=5.8219 c=7.8446 alpha=60.33 beta=76.38 gamma=71.50
Element x y z (fractional)
Ce1 0.0000 0.5000 0.5000
Mg1 0.5000 0.0000 0.0000
Ti1 0.7771 0.2803 0.1655
Ti2 0.2229 0.7197 0.8345
O1 0.9446 0.9096 0.2012
O2 0.0554 0.0904 0.7988
O3 0.6395 0.3362 0.3848
O4 0.3605 0.6638 0.6152
O5 0.3107 0.3228 0.0558
O6 0.6893 0.6772 0.9442

## Properties
Its total energy is -8.25 eV/atom. The value obtained for the total moment is 2.0 μB/cell. The value obtained for the formation energy is -3.364 eV/atom.

***

## Re2Si (PBE)

Data for an optimized crystal structure of Re2Si.

Unit cell a=10.0276 b=5.8585 c=5.9729 alpha=86.12 beta=90.00 gamma=90.00
Element x y z (fractional)
Re1 0.0696 0.4241 0.8097
Re2 0.5696 0.5759 0.6903
Re3 0.1694 0.3882 0.4019
Re4 0.5317 0.8836 0.3252
Re5 0.6905 0.2625 0.4167
Re6 0.4683 0.1164 0.6748
Re7 0.4304 0.4241 0.3097
Re8 0.3095 0.7375 0.5833
Re9 0.8095 0.2625 0.9167
Re10 0.6694 0.6118 0.0981
Re11 0.9683 0.8836 0.8252
Re12 0.0317 0.1164 0.1748
Re13 0.1905 0.7375 0.0833
Re14 0.8306 0.6118 0.5981
Re15 0.9304 0.5759 0.1903
Re16 0.3306 0.3882 0.9019
Si1 0.2968 0.0582 0.2658
Si2 0.0652 0.7853 0.4724
Si3 0.9348 0.2147 0.5276
Si4 0.4348 0.7853 0.9724
Si5 0.7968 0.9418 0.2342
Si6 0.7032 0.9418 0.7342
Si7 0.2032 0.0582 0.7658
Si8 0.5652 0.2147 0.0276

## Properties
Its total energy is -10.00 eV/atom. The value obtained for the total moment is 0.0 μB/cell. The value obtained for the formation energy is 0.133 eV/atom.

***

## P (PBE)

Data for an optimized crystal structure of P.

Unit cell a=19.8099 b=5.5983 c=6.3442 alpha=76.07 beta=90.00 gamma=90.00
Element x y z (fractional)
P1 0.5872 0.8539 0.6920
P2 0.5569 0.8282 0.3616
P3 0.4431 0.8282 0.3616
P4 0.4128 0.8539 0.6920
P5 0.5000 0.7764 0.9170
P6 0.4132 0.4528 0.3278
P7 0.4422 0.2487 0.6587
P8 0.5578 0.2487 0.6587
P9 0.5868 0.4528 0.3278
P10 0.5000 0.3860 0.1210

## Properties
Its total energy is -5.35 eV/atom. The value obtained for the formation energy is 0.068 eV/atom.

***

## BaCe4EuO12 (PBE)

Data for an optimized crystal structure of BaCe4EuO12.

Unit cell a=6.1471 b=6.1471 c=8.6641 alpha=90.00 beta=90.00 gamma=88.64
Element x y z (fractional)
Ba1 0.4773 0.5227 0.0000
Ce1 0.5109 0.0093 0.2537
Ce2 0.5109 0.0093 0.7463
Ce3 0.9907 0.4891 0.7463
Ce4 0.9907 0.4891 0.2537
Eu1 0.0320 0.9680 0.5000
O1 0.2978 0.2993 0.2473
O2 0.7007 0.7022 0.2473
O3 0.7007 0.7022 0.7527
O4 0.2978 0.2993 0.7527
O5 0.2072 0.7928 0.2229
O6 0.8261 0.1739 0.3259
O7 0.8261 0.1739 0.6741
O8 0.2072 0.7928 0.7771
O9 0.5419 0.0491 0.0000
O10 0.3991 0.9770 0.5000
O11 0.9509 0.4581 0.0000
O12 0.0230 0.6009 0.5000

## Properties
Its total energy is -7.95 eV/atom. The value obtained for the total moment is 3.0 μB/cell. The value obtained for the formation energy is -3.119 eV/atom.

***

## Na4LaZnP3O12 (PBE)

Data for an optimized crystal structure of Na4LaZnP3O12.

Unit cell a=9.5718 b=9.5718 c=22.3775 alpha=90.00 beta=90.00 gamma=120.00
Element x y z (fractional)
Na1 0.6368 0.0198 0.2464
Na2 0.3829 0.3632 0.2464
Na3 0.9802 0.6171 0.2464
Na4 0.6368 0.6171 0.7464
Na5 0.9802 0.3632 0.7464
Na6 0.3829 0.0198 0.7464
Na7 0.3035 0.3531 0.5797
Na8 0.0496 0.6965 0.5797
Na9 0.6469 0.9504 0.5797
Na10 0.3035 0.9504 0.0797
Na11 0.6469 0.6965 0.0797
Na12 0.0496 0.3531 0.0797
Na13 0.9702 0.6864 0.9130
Na14 0.7163 0.0298 0.9130
Na15 0.3136 0.2837 0.9130
Na16 0.9702 0.2837 0.4130
Na17 0.3136 0.0298 0.4130
Na18 0.7163 0.6864 0.4130
Na19 0.0000 0.0000 0.4909
Na20 0.0000 0.0000 0.9909
Na21 0.6667 0.3333 0.8242
Na22 0.6667 0.3333 0.3242
Na23 0.3333 0.6667 0.1575
Na24 0.3333 0.6667 0.6575
La1 0.0000 0.0000 0.6551
La2 0.0000 0.0000 0.1551
La3 0.6667 0.3333 0.9884
La4 0.6667 0.3333 0.4884
La5 0.3333 0.6667 0.3218
La6 0.3333 0.6667 0.8218
Zn1 0.0000 0.0000 0.3433
Zn2 0.0000 0.0000 0.8433
Zn3 0.6667 0.3333 0.6766
Zn4 0.6667 0.3333 0.1766
Zn5 0.3333 0.6667 0.0099
Zn6 0.3333 0.6667 0.5099
P1 0.3137 0.0136 0.2522
P2 0.6999 0.6863 0.2522
P3 0.9864 0.3001 0.2522
P4 0.3137 0.3001 0.7522
P5 0.9864 0.6863 0.7522
P6 0.6999 0.0136 0.7522
P7 0.9803 0.3469 0.5856
P8 0.3666 0.0197 0.5856
P9 0.6531 0.6334 0.5856
P10 0.9803 0.6334 0.0856
P11 0.6531 0.0197 0.0856
P12 0.3666 0.3469 0.0856
P13 0.6470 0.6803 0.9189
P14 0.0333 0.3530 0.9189
P15 0.3197 0.9667 0.9189
P16 0.6470 0.9667 0.4189
P17 0.3197 0.3530 0.4189
P18 0.0333 0.6803 0.4189
O1 0.2156 0.0229 0.3061
O2 0.8073 0.7844 0.3061
O3 0.9771 0.1927 0.3061
O4 0.2156 0.1927 0.8061
O5 0.9771 0.7844 0.8061
O6 0.8073 0.0229 0.8061
O7 0.7699 0.9896 0.6935
O8 0.2197 0.2301 0.6935
O9 0.0104 0.7803 0.6935
O10 0.7699 0.7803 0.1935
O11 0.0104 0.2301 0.1935
O12 0.2197 0.9896 0.1935
O13 0.8823 0.3562 0.6394
O14 0.4740 0.1177 0.6394
O15 0.6438 0.5260 0.6394
O16 0.8823 0.5260 0.1394
O17 0.6438 0.1177 0.1394
O18 0.4740 0.3562 0.1394
O19 0.4365 0.3229 0.0269
O20 0.8864 0.5635 0.0269
O21 0.6771 0.1136 0.0269
O22 0.4365 0.1136 0.5269
O23 0.6771 0.5635 0.5269
O24 0.8864 0.3229 0.5269
O25 0.5489 0.6896 0.9728
O26 0.1406 0.4511 0.9728
O27 0.3104 0.8594 0.9728
O28 0.5489 0.8594 0.4728
O29 0.3104 0.4511 0.4728
O30 0.1406 0.6896 0.4728
O31 0.1032 0.6563 0.3602
O32 0.5531 0.8968 0.3602
O33 0.3437 0.4469 0.3602
O34 0.1032 0.4469 0.8602
O35 0.3437 0.8968 0.8602
O36 0.5531 0.6563 0.8602
O37 0.0246 0.8383 0.4171
O38 0.8137 0.9754 0.4171
O39 0.1617 0.1863 0.4171
O40 0.0246 0.1863 0.9171
O41 0.1617 0.9754 0.9171
O42 0.8137 0.8383 0.9171
O43 0.0087 0.2002 0.5883
O44 0.1915 0.9913 0.5883
O45 0.7998 0.8085 0.5883
O46 0.0087 0.8085 0.0883
O47 0.7998 0.9913 0.0883
O48 0.1915 0.2002 0.0883
O49 0.6913 0.1716 0.7504
O50 0.4804 0.3087 0.7504
O51 0.8284 0.5196 0.7504
O52 0.6913 0.5196 0.2504
O53 0.8284 0.3087 0.2504
O54 0.4804 0.1716 0.2504
O55 0.6754 0.5335 0.9216
O56 0.8581 0.3246 0.9216
O57 0.4665 0.1419 0.9216
O58 0.6754 0.1419 0.4216
O59 0.4665 0.3246 0.4216
O60 0.8581 0.5335 0.4216
O61 0.3579 0.5050 0.0838
O62 0.1470 0.6421 0.0838
O63 0.4950 0.8530 0.0838
O64 0.3579 0.8530 0.5838
O65 0.4950 0.6421 0.5838
O66 0.1470 0.5050 0.5838
O67 0.3420 0.8668 0.2549
O68 0.5248 0.6580 0.2549
O69 0.1332 0.4752 0.2549
O70 0.3420 0.4752 0.7549
O71 0.1332 0.6580 0.7549
O72 0.5248 0.8668 0.7549

## Properties
Its total energy is -6.47 eV/atom. The value obtained for the total moment is 0.0 μB/cell. The value obtained for the formation energy is -2.716 eV/atom.

***

## Hf8MgN8O4 (PBE)

Data for an optimized crystal structure of Hf8MgN8O4.

Unit cell a=5.7642 b=5.8862 c=10.9122 alpha=90.56 beta=72.52 gamma=58.21
Element x y z (fractional)
Hf1 0.1766 0.3150 0.2839
Hf2 0.0079 0.9348 0.9462
Hf3 0.3364 0.2927 0.9956
Hf4 0.6199 0.4073 0.5658
Hf5 0.4974 0.6674 0.3016
Hf6 0.8518 0.9663 0.2399
Hf7 0.6634 0.6010 0.9993
Hf8 0.8592 0.7946 0.6824
Mg1 0.2812 0.0888 0.5719
N1 0.4601 0.0156 0.3672
N2 0.5860 0.2374 0.1220
N3 0.2402 0.7677 0.6026
N4 0.7794 0.3171 0.3630
N5 0.3980 0.5692 0.9150
N6 0.9047 0.5626 0.1478
N7 0.9027 0.4578 0.6105
N8 0.7216 0.8711 0.8903
O1 0.3051 0.9170 0.1597
O2 0.1096 0.6803 0.3431
O3 0.0710 0.2364 0.9083
O4 0.5588 0.1164 0.6342

## Properties
Its total energy is -9.93 eV/atom. The value obtained for the total moment is 0.0 μB/cell. The value obtained for the formation energy is -2.073 eV/atom.

***

## Mn3Cr3Si7Ni16 (PBE)

Data for an optimized crystal structure of Mn3Cr3Si7Ni16.

Unit cell a=7.8420 b=7.8420 c=7.8420 alpha=60.03 beta=60.03 gamma=60.03
Element x y z (fractional)
Mn1 0.1965 0.8030 0.1965
Mn2 0.8030 0.1965 0.1965
Mn3 0.1965 0.1965 0.8030
Cr1 0.8032 0.1948 0.8032
Cr2 0.1948 0.8032 0.8032
Cr3 0.8032 0.8032 0.1948
Si1 0.5005 0.5005 0.5005
Si2 0.0005 0.5026 0.0005
Si3 0.5026 0.0005 0.0005
Si4 0.0005 0.0005 0.5026
Si5 0.5005 0.9966 0.5005
Si6 0.9966 0.5005 0.5005
Si7 0.5005 0.5005 0.9966
Ni1 0.1648 0.1648 0.1648
Ni2 0.1668 0.1668 0.5028
Ni3 0.5028 0.1668 0.1668
Ni4 0.1668 0.5028 0.1668
Ni5 0.8330 0.8330 0.8330
Ni6 0.8359 0.8359 0.4953
Ni7 0.4953 0.8359 0.8359
Ni8 0.8359 0.4953 0.8359
Ni9 0.3826 0.3826 0.3826
Ni10 0.3820 0.3820 0.8532
Ni11 0.8532 0.3820 0.3820
Ni12 0.3820 0.8532 0.3820
Ni13 0.6179 0.6179 0.6179
Ni14 0.6173 0.6173 0.1474
Ni15 0.1474 0.6173 0.6173
Ni16 0.6173 0.1474 0.6173

## Properties
Its total energy is -6.83 eV/atom. The value obtained for the total moment is 20.7 μB/cell. The value obtained for the formation energy is -0.384 eV/atom.

***

## Eu2ZnIn (PBE)

Data for an optimized crystal structure of Eu2ZnIn.

Unit cell a=5.5036 b=5.5036 c=5.5036 alpha=60.00 beta=60.00 gamma=60.00
Element x y z (fractional)
Eu1 0.2500 0.2500 0.2500
Eu2 0.7500 0.7500 0.7500
Zn1 0.0000 0.0000 0.0000
In1 0.5000 0.5000 0.5000

## Properties
Its total energy is -6.50 eV/atom. The value obtained for the formation energy is -0.367 eV/atom.

***

## BeH2O2 (PBE)

Data for an optimized crystal structure of BeH2O2.

Unit cell a=10.8952 b=4.7768 c=8.6405 alpha=90.00 beta=95.63 gamma=90.00
Element x y z (fractional)
Be1 0.6772 0.0748 0.5921
Be2 0.3228 0.5748 0.4079
Be3 0.6862 0.5825 0.7835
Be4 0.3138 0.0825 0.2165
Be5 0.6775 0.8734 0.0800
Be6 0.3225 0.3734 0.9200
Be7 0.3020 0.8115 0.7145
Be8 0.6980 0.3115 0.2855
Be9 0.0878 0.7174 0.5359
Be10 0.9122 0.2174 0.4641
Be11 0.9194 0.7346 0.9772
Be12 0.0806 0.2346 0.0228
H1 0.6526 0.6264 0.5375
H2 0.3474 0.1264 0.4625
H3 0.3582 0.8398 0.9618
H4 0.6418 0.3398 0.0382
H5 0.3781 0.3628 0.6754
H6 0.6219 0.8628 0.3246
H7 0.6812 0.1349 0.8320
H8 0.3188 0.6349 0.1680
H9 0.8638 0.0310 0.6872
H10 0.1362 0.5310 0.3128
H11 0.4741 0.7156 0.5947
H12 0.5259 0.2156 0.4053
H13 0.0498 0.3306 0.6443
H14 0.9502 0.8306 0.3557
H15 0.8785 0.5560 0.7349
H16 0.1215 0.0560 0.2651
H17 0.1510 0.5340 0.8416
H18 0.8490 0.0340 0.1584
H19 0.4827 0.1961 0.7707
H20 0.5173 0.6961 0.2293
H21 0.0655 0.9217 0.8398
H22 0.9345 0.4217 0.1602
H23 0.5271 0.7002 0.9117
H24 0.4729 0.2002 0.0883
O1 0.6276 0.7459 0.6206
O2 0.3724 0.2459 0.3794
O3 0.6355 0.2466 0.7507
O4 0.3645 0.7466 0.2493
O5 0.6178 0.1900 0.4222
O6 0.3822 0.6900 0.5778
O7 0.8190 0.0914 0.5898
O8 0.1810 0.5914 0.4102
O9 0.6192 0.7010 0.9319
O10 0.3808 0.2010 0.0681
O11 0.8302 0.6179 0.8196
O12 0.1698 0.1179 0.1804
O13 0.6270 0.1953 0.1154
O14 0.3730 0.6953 0.8846
O15 0.8200 0.8790 0.0873
O16 0.1800 0.3790 0.9127
O17 0.6114 0.7102 0.2443
O18 0.3886 0.2102 0.7557
O19 0.9962 0.4489 0.5745
O20 0.0038 0.9489 0.4255
O21 0.0125 0.9746 0.9228
O22 0.9875 0.4746 0.0772
O23 0.1656 0.8175 0.6906
O24 0.8344 0.3175 0.3094

## Properties
Its total energy is -5.74 eV/atom. The value obtained for the total moment is 0.0 μB/cell. The value obtained for the formation energy is -1.931 eV/atom.